! GGA-PBE Dy11Ge10, relaxed; values from VASP
&SYSTEM
  ibrav = 0, nat = 42, ntyp = 2
/
ATOMIC_SPECIES
Dy 162.50 Dy.upf
Ge 72.64 Ge.upf
CELL_PARAMETERS angstrom
9.580 -5.578 2.330
-1.797 0.121 11.184
-7.684 -4.010 -7.294
ATOMIC_POSITIONS crystal
Dy 0.160 0.160 0.000
Dy 0.840 0.840 0.000
Dy 0.322 0.322 0.644
Dy 0.678 0.678 0.356
Dy 0.322 0.678 0.000
Dy 0.678 0.322 0.000
Dy 0.427 0.103 0.324
Dy 0.573 0.897 0.676
Dy 0.779 0.103 0.676
Dy 0.103 0.779 0.676
Dy 0.221 0.897 0.324
Dy 0.897 0.221 0.324
Dy 0.103 0.427 0.324
Dy 0.897 0.573 0.676
Dy 0.562 0.310 0.252
Dy 0.438 0.690 0.748
Dy 0.058 0.310 0.748
Dy 0.310 0.058 0.748
Dy 0.942 0.690 0.252
Dy 0.690 0.942 0.252
Dy 0.310 0.562 0.252
Dy 0.690 0.438 0.748
Ge 0.391 0.391 0.419
Ge 0.609 0.609 0.581
Ge 0.972 0.972 0.581
Ge 0.391 0.972 0.000
Ge 0.028 0.609 0.000
Ge 0.028 0.028 0.419
Ge 0.609 0.028 0.000
Ge 0.972 0.391 0.000
Ge 0.387 0.387 0.000
Ge 0.613 0.613 0.000
Ge 0.119 0.119 0.239
Ge 0.881 0.881 0.761
Ge 0.119 0.881 0.000
Ge 0.881 0.119 0.000
Ge 0.750 0.250 0.500
Ge 0.250 0.750 0.500
Ge 0.500 0.138 0.638
Ge 0.500 0.862 0.362
Ge 0.138 0.500 0.638
Ge 0.862 0.500 0.362
! Uncorrected energy, eV per atom: -5.46
! Energy of formation, eV per atom: -0.85
! Space group: I4/mmm, No. 139
! Total magnetization, μB per formula unit: 0.00